[1]
A plane-wave DFT calculation with GGA-PBE was carried out for crystalline RbBi at its relaxed geometry.

The structure belongs to space group P2_1/c (No. 14); the cell edges are 15.1476, 7.6594 and 14.2247 Å and the angles 90.00°, 113.22° and 90.00°. Symmetry generates all atoms from Rb at (0.1042, 0.1952, 0.4649), Rb at (0.1566, 0.5772, 0.6904), Rb at (0.3518, 0.6423, 0.0504), Rb at (0.3752, 0.1171, 0.8546), Bi at (0.0731, 0.7009, 0.3802), Bi at (0.1017, 0.0658, 0.7303), Bi at (0.3967, 0.1259, 0.1374) and Bi at (0.4294, 0.6332, 0.8136).

As for the total energy: -2.777 eV/atom. The calculation puts the excess energy over the best structure of this formula in the dataset at 0.000 eV/atom. Its volume is 47.40 A^3/atom. As for the density: 5158 kg/m³. As for the energy of formation from the pure elements: -341 meV/atom.

---

[2]
A plane-wave DFT calculation with GGA-PBE was carried out for crystalline TmB2Ir3 at its relaxed geometry.

The structure belongs to space group P6/mmm (No. 191); the cell edges are 5.4604, 5.4604 and 3.1379 Å and the angles 90.00°, 90.00° and 120.00°. Symmetry generates all atoms from Tm at (0.0000, 0.0000, 0.0000), B at (0.3333, 0.6667, 0.0000) and Ir at (0.0000, 0.5000, 0.5000).

As for the total energy: -8.088 eV/atom. Its volume is 13.50 A^3/atom. As for the density: 15724 kg/m³. As for the energy of formation from the pure elements: -696 meV/atom.

---

[3]
A plane-wave DFT calculation with GGA-PBE was carried out for crystalline PrCrSe3 at its relaxed geometry.

The structure belongs to space group Pnma (No. 62); the cell edges are 8.1736, 3.9843 and 13.7970 Å and the angles 90.00°, 90.00° and 90.00°. Symmetry generates all atoms from Pr at (0.0965, 0.2500, 0.1711), Cr at (0.1611, 0.7500, 0.4485), Se at (0.0137, 0.7500, 0.6082), Se at (0.1575, 0.7500, 0.0033) and Se at (0.1897, 0.2500, 0.7882).

As for the total energy: -6.196 eV/atom. Its volume is 22.47 A^3/atom. As for the density: 6354 kg/m³. As for the energy of formation from the pure elements: -1495 meV/atom.

---

[4]
A plane-wave DFT calculation with GGA-PBE was carried out for crystalline Mg14VGa at its relaxed geometry.

The structure belongs to space group Amm2 (No. 38); the cell edges are 10.2852, 6.2237 and 10.8895 Å and the angles 90.00°, 90.00° and 90.00°. Symmetry generates all atoms from Mg at (0.0000, 0.0000, 0.9999), Mg at (0.0000, 0.0000, 0.5000), Mg at (0.0000, 0.2499, 0.2504), Mg at (0.2510, 0.0000, 0.1654), Mg at (0.2522, 0.0000, 0.6643), Mg at (0.2568, 0.2486, 0.4193), Mg at (0.5000, 0.2484, 0.7498), V at (0.5000, 0.0000, 0.5006) and Ga at (0.5000, 0.0000, 0.9995).

As for the total energy: -2.101 eV/atom. Its volume is 21.78 A^3/atom. As for the total magnetic moment: 3.59 μB/f.u. As for the density: 2196 kg/m³. As for the energy of formation from the pure elements: 56 meV/atom.

---

[5]
A plane-wave DFT calculation with GGA-PBE was carried out for crystalline LaTa3O9 at its relaxed geometry.

The structure belongs to space group C2/m (No. 12); the cell edges are 16.7772, 5.5957 and 9.7477 Å and the angles 90.00°, 125.01° and 90.00°. Symmetry generates all atoms from La at (0.1670, 0.0000, 0.0006), Ta at (0.0768, 0.5000, 0.7410), Ta at (0.0844, 0.0000, 0.2530), Ta at (0.2488, 0.0000, 0.7372), O at (0.0000, 0.0000, 0.0000), O at (0.0000, 0.5000, 0.5000), O at (0.0095, 0.2401, 0.7670), O at (0.1651, 0.0000, 0.4980), O at (0.1653, 0.2403, 0.2339), O at (0.1740, 0.5000, 0.0002) and O at (0.1746, 0.2500, 0.7735).

As for the total energy: -9.592 eV/atom. The calculation puts the excess energy over the best structure of this formula in the dataset at 0.000 eV/atom. Its volume is 14.41 A^3/atom. As for the density: 7317 kg/m³. As for the energy of formation from the pure elements: -3526 meV/atom.

---

[6]
A plane-wave DFT calculation with GGA-PBE was carried out for crystalline TiCu3O4 at its relaxed geometry.

The structure belongs to space group Cm (No. 8); the cell edges are 11.8091, 2.9821 and 7.2644 Å and the angles 90.00°, 125.51° and 90.00°. Symmetry generates all atoms from Ti at (0.0000, 0.0000, 0.0000), Cu at (0.1388, 0.5000, 0.7715), Cu at (0.2482, 0.0000, 0.5323), Cu at (0.3123, 0.0000, 0.1549), O at (0.0006, 0.5000, 0.8166), O at (0.1895, 0.0000, 0.2298), O at (0.2691, 0.5000, 0.7116) and O at (0.4541, 0.0000, 0.1219).

As for the total energy: -6.365 eV/atom. Its volume is 13.01 A^3/atom. As for the total magnetic moment: 0.00 μB/f.u. As for the density: 4824 kg/m³. As for the energy of formation from the pure elements: -1710 meV/atom.

---

Q: Among the records above, which one has the highest energy of formation from the pure elements?
A: Mg14VGa

---

Q: Which value of density does entry 4 give?
A: 2196 kg/m³